(1)
Computed, not measured: Mg6CoMo after structural relaxation at the GGA-PBE level of DFT.

abc: 4.659 5.843 10.952
angles: 90.00 90.00 90.00
Fractional coordinates of all 16 atoms:
1 Mo 0.500 0.500 0.194
2 Mo 0.500 0.000 0.694
3 Mg 0.000 0.738 0.083
4 Mg 0.500 0.243 0.923
5 Mg 0.000 0.762 0.583
6 Mg 0.000 0.262 0.083
7 Mg 0.500 0.757 0.923
8 Mg 0.000 0.238 0.583
9 Mg 0.000 0.500 0.826
10 Mg 0.500 0.743 0.423
11 Mg 0.500 0.257 0.423
12 Mg 0.500 0.000 0.171
13 Mg 0.000 0.000 0.326
14 Mg 0.500 0.500 0.671
15 Co 0.000 0.000 0.798
16 Co 0.000 0.500 0.298

Properties
**Calculated total energy**: -3.197 eV/atom
**Polymorph energy (0 for the lowest one)**: 0.00 eV/f.u.
**Formation energy from the elements**: 0.25 eV per atom

(2)
Computed, not measured: MgBi4O8 after structural relaxation at the GGA-PBE level of DFT.

abc: 3.477 8.776 9.551
angles: 78.50 79.53 78.58
Fractional coordinates of all 13 atoms:
1 Bi 0.128 0.540 0.173
2 Bi 0.647 0.188 0.488
3 Bi 0.328 0.814 0.500
4 Bi 0.822 0.483 0.843
5 O 0.177 0.018 0.600
6 O 0.129 0.348 0.363
7 O 0.485 0.373 0.625
8 O 0.725 0.422 0.096
9 O 0.228 0.608 0.905
10 O 0.479 0.618 0.393
11 O 0.831 0.679 0.629
12 O 0.832 0.921 0.383
13 Mg 0.981 0.492 0.513

Properties
**Calculated total energy**: -5.579 eV/atom
**Polymorph energy (0 for the lowest one)**: 1.29 eV/f.u.
**Space-group type**: No. 8
**Formation energy from the elements**: -1.64 eV per atom

(3)
Computed, not measured: Cs2AsBrCl6 after structural relaxation at the GGA-PBE level of DFT.

abc: 7.801 7.801 7.801
angles: 60.00 60.00 60.00
Fractional coordinates of all 10 atoms:
1 Cl 0.214 0.786 0.214
2 Cl 0.786 0.214 0.214
3 Cl 0.786 0.214 0.786
4 Cl 0.214 0.786 0.786
5 Cl 0.214 0.214 0.786
6 Cl 0.786 0.786 0.214
7 Cs 0.250 0.250 0.250
8 Cs 0.750 0.750 0.750
9 Br 0.500 0.500 0.500
10 As 0.000 0.000 0.000

Properties
**Calculated total energy**: -2.986 eV/atom
**Space-group type**: No. 225
**Formation energy from the elements**: -1.44 eV per atom

(4)
Computed, not measured: CeSe2 after structural relaxation at the GGA-PBE level of DFT.

abc: 9.659 9.659 9.659
angles: 25.70 25.70 25.70
Fractional coordinates of all 3 atoms:
1 Ce 0.000 0.000 0.000
2 Se 0.385 0.385 0.385
3 Se 0.615 0.615 0.615

Properties
**Calculated total energy**: -5.849 eV/atom
**Space-group type**: No. 166
**Formation energy from the elements**: -1.86 eV per atom

(5)
Computed, not measured: K3InI6 after structural relaxation at the GGA-PBE level of DFT.

abc: 8.885 8.885 8.885
angles: 60.00 60.00 60.00
Fractional coordinates of all 10 atoms:
1 I 0.233 0.767 0.233
2 I 0.767 0.233 0.767
3 I 0.767 0.233 0.233
4 I 0.233 0.233 0.767
5 I 0.767 0.767 0.233
6 I 0.233 0.767 0.767
7 K 0.750 0.750 0.750
8 K 0.250 0.250 0.250
9 K 0.500 0.500 0.500
10 In 0.000 0.000 0.000

Properties
**Calculated total energy**: -2.516 eV/atom
**Space-group type**: No. 225
**Formation energy from the elements**: -1.22 eV per atom

(6)
Computed, not measured: CsSb after structural relaxation at the GGA-PBE level of DFT.

abc: 7.543 14.562 15.626
angles: 66.53 90.00 90.00
Fractional coordinates of all 32 atoms:
1 Sb 0.925 0.730 0.411
2 Sb 0.372 0.354 0.911
3 Sb 0.634 0.198 0.931
4 Sb 0.575 0.230 0.411
5 Sb 0.808 0.133 0.569
6 Sb 0.692 0.633 0.569
7 Sb 0.425 0.770 0.589
8 Sb 0.075 0.270 0.589
9 Sb 0.366 0.802 0.069
10 Sb 0.128 0.854 0.911
11 Sb 0.872 0.146 0.089
12 Sb 0.628 0.646 0.089
13 Sb 0.866 0.698 0.931
14 Sb 0.308 0.367 0.431
15 Sb 0.134 0.302 0.069
16 Sb 0.192 0.867 0.431
17 Cs 0.188 0.528 0.609
18 Cs 0.089 0.182 0.343
19 Cs 0.411 0.682 0.343
20 Cs 0.645 0.959 0.856
21 Cs 0.589 0.318 0.657
22 Cs 0.381 0.646 0.869
23 Cs 0.688 0.972 0.391
24 Cs 0.145 0.541 0.144
25 Cs 0.855 0.459 0.856
26 Cs 0.119 0.146 0.869
27 Cs 0.312 0.028 0.609
28 Cs 0.812 0.472 0.391
29 Cs 0.619 0.354 0.131
30 Cs 0.355 0.041 0.144
31 Cs 0.881 0.854 0.131
32 Cs 0.911 0.818 0.657

Properties
**Calculated total energy**: -2.949 eV/atom
**Polymorph energy (0 for the lowest one)**: 0.00 eV/f.u.
**Space-group type**: No. 14
**Formation energy from the elements**: -0.53 eV per atom

(7)
Computed, not measured: NaSrMg6 after structural relaxation at the GGA-PBE level of DFT.

abc: 5.407 6.848 11.968
angles: 90.00 90.00 90.00
Fractional coordinates of all 16 atoms:
1 Mg 0.000 0.760 0.080
2 Mg 0.500 0.000 0.163
3 Mg 0.000 0.240 0.080
4 Mg 0.500 0.250 0.420
5 Mg 0.500 0.750 0.420
6 Mg 0.000 0.260 0.580
7 Mg 0.000 0.000 0.332
8 Mg 0.000 0.500 0.832
9 Mg 0.000 0.740 0.580
10 Mg 0.500 0.750 0.920
11 Mg 0.500 0.500 0.663
12 Mg 0.500 0.250 0.920
13 Na 0.000 0.000 0.840
14 Na 0.000 0.500 0.340
15 Sr 0.500 0.500 0.166
16 Sr 0.500 0.000 0.666

Properties
**Calculated total energy**: -1.484 eV/atom
**Formation energy from the elements**: 0.09 eV per atom

(8)
Computed, not measured: Ba2ZnF6 after structural relaxation at the GGA-PBE level of DFT.

abc: 4.200 4.200 8.693
angles: 103.98 103.98 90.00
Fractional coordinates of all 9 atoms:
1 Zn 0.500 0.500 0.000
2 F 0.621 0.621 0.241
3 F 0.000 0.500 0.000
4 F 0.379 0.379 0.759
5 F 0.750 0.250 0.500
6 F 0.250 0.750 0.500
7 F 0.500 0.000 0.000
8 Ba 0.848 0.848 0.696
9 Ba 0.152 0.152 0.304

Properties
**Calculated total energy**: -5.157 eV/atom
**Space-group type**: No. 139
**Formation energy from the elements**: -3.62 eV per atom

(9)
Computed, not measured: Ce2Br5 after structural relaxation at the GGA-PBE level of DFT.

abc: 4.177 8.116 13.648
angles: 88.67 90.00 90.00
Fractional coordinates of all 14 atoms:
1 Ce 0.250 0.071 0.159
2 Ce 0.250 0.574 0.659
3 Ce 0.750 0.929 0.841
4 Ce 0.750 0.426 0.341
5 Br 0.750 0.852 0.070
6 Br 0.250 0.947 0.677
7 Br 0.750 0.335 0.728
8 Br 0.250 0.665 0.272
9 Br 0.750 0.053 0.323
10 Br 0.250 0.656 0.877
11 Br 0.750 0.687 0.512
12 Br 0.750 0.344 0.123
13 Br 0.250 0.148 0.930
14 Br 0.250 0.313 0.488

Properties
**Calculated total energy**: -4.678 eV/atom
**Space-group type**: No. 11
**Formation energy from the elements**: -2.19 eV per atom

(10)
Computed, not measured: NdC3S3O18F9 after structural relaxation at the GGA-PBE level of DFT.

abc: 15.373 15.373 6.921
angles: 90.00 90.00 120.00
Fractional coordinates of all 68 atoms:
1 F 0.835 0.794 0.591
2 F 0.910 0.722 0.250
3 F 0.206 0.042 0.909
4 F 0.278 0.188 0.250
5 F 0.794 0.958 0.091
6 F 0.812 0.090 0.250
7 F 0.958 0.165 0.909
8 F 0.188 0.910 0.750
9 F 0.206 0.042 0.591
10 F 0.794 0.958 0.409
11 F 0.042 0.835 0.091
12 F 0.165 0.206 0.091
13 F 0.165 0.206 0.409
14 F 0.090 0.278 0.750
15 F 0.042 0.835 0.409
16 F 0.722 0.812 0.750
17 F 0.835 0.794 0.909
18 F 0.958 0.165 0.591
19 O 0.437 0.884 0.750
20 O 0.828 0.424 0.089
21 O 0.172 0.576 0.911
22 O 0.577 0.828 0.250
23 O 0.424 0.596 0.911
24 O 0.630 0.609 0.927
25 O 0.828 0.251 0.750
26 O 0.979 0.370 0.573
27 O 0.596 0.172 0.089
28 O 0.424 0.596 0.589
29 O 0.576 0.404 0.089
30 O 0.021 0.630 0.073
31 O 0.554 0.437 0.250
32 O 0.630 0.609 0.573
33 O 0.404 0.828 0.911
34 O 0.172 0.576 0.589
35 O 0.423 0.172 0.750
36 O 0.251 0.423 0.250
37 O 0.609 0.979 0.073
38 O 0.596 0.172 0.411
39 O 0.609 0.979 0.427
40 O 0.446 0.563 0.750
41 O 0.828 0.424 0.411
42 O 0.172 0.749 0.250
43 O 0.391 0.021 0.573
44 O 0.404 0.828 0.589
45 O 0.391 0.021 0.927
46 O 0.576 0.404 0.411
47 O 0.021 0.630 0.427
48 O 0.979 0.370 0.927
49 O 0.370 0.391 0.427
50 O 0.884 0.446 0.250
51 O 0.370 0.391 0.073
52 O 0.563 0.116 0.250
53 O 0.749 0.577 0.750
54 O 0.116 0.554 0.750
55 S 0.374 0.062 0.750
56 S 0.312 0.374 0.250
57 S 0.938 0.312 0.750
58 S 0.626 0.938 0.250
59 S 0.688 0.626 0.750
60 S 0.062 0.688 0.250
61 C 0.235 0.011 0.750
62 C 0.011 0.777 0.250
63 C 0.223 0.235 0.250
64 C 0.765 0.989 0.250
65 C 0.989 0.223 0.750
66 C 0.777 0.765 0.750
67 Nd 0.667 0.333 0.250
68 Nd 0.333 0.667 0.750

Properties
**Calculated total energy**: -5.376 eV/atom
**Space-group type**: No. 176
**Formation energy from the elements**: -1.05 eV per atom

(11)
Computed, not measured: Mg5Si9 after structural relaxation at the GGA-PBE level of DFT.

abc: 6.366 7.303 11.643
angles: 87.08 103.54 110.43
Fractional coordinates of all 28 atoms:
1 Mg 0.971 0.280 0.504
2 Mg 0.892 0.001 0.298
3 Mg 0.193 0.882 0.530
4 Mg 0.238 0.190 0.916
5 Mg 0.398 0.902 0.083
6 Mg 0.571 0.560 0.068
7 Mg 0.454 0.319 0.458
8 Mg 0.629 0.807 0.511
9 Mg 0.533 0.910 0.833
10 Mg 0.881 0.568 0.655
11 Si 0.959 0.792 0.897
12 Si 0.202 0.586 0.875
13 Si 0.352 0.564 0.650
14 Si 0.713 0.232 0.012
15 Si 0.635 0.274 0.248
16 Si 0.021 0.699 0.210
17 Si 0.328 0.217 0.685
18 Si 0.216 0.237 0.153
19 Si 0.846 0.305 0.829
20 Si 0.115 0.407 0.298
21 Si 0.474 0.666 0.279
22 Si 0.380 0.957 0.320
23 Si 0.590 0.497 0.836
24 Si 0.079 0.504 0.061
25 Si 0.976 0.965 0.706
26 Si 0.873 0.953 0.060
27 Si 0.661 0.125 0.644
28 Si 0.820 0.599 0.382

Properties
**Calculated total energy**: -3.901 eV/atom
**Polymorph energy (0 for the lowest one)**: 0.75 eV/f.u.
**Space-group type**: No. 1
**Formation energy from the elements**: 0.20 eV per atom

(12)
Computed, not measured: Mg6MnCr after structural relaxation at the GGA-PBE level of DFT.

abc: 4.948 6.225 10.596
angles: 90.00 90.00 90.00
Fractional coordinates of all 16 atoms:
1 Mg 0.500 0.750 0.413
2 Mg 0.500 0.000 0.670
3 Mg 0.500 0.750 0.913
4 Mg 0.500 0.500 0.670
5 Mg 0.500 0.000 0.170
6 Mg 0.000 0.750 0.083
7 Mg 0.500 0.500 0.170
8 Mg 0.500 0.250 0.413
9 Mg 0.500 0.250 0.913
10 Mg 0.000 0.750 0.583
11 Mg 0.000 0.250 0.083
12 Mg 0.000 0.250 0.583
13 Mn 0.000 0.500 0.334
14 Mn 0.000 0.000 0.834
15 Cr 0.000 0.000 0.334
16 Cr 0.000 0.500 0.834

Properties
**Calculated total energy**: -3.304 eV/atom
**Formation energy from the elements**: 0.25 eV per atom

(13)
Computed, not measured: U3O10 after structural relaxation at the GGA-PBE level of DFT.

abc: 20.445 5.881 7.999
angles: 62.65 90.00 90.00
Fractional coordinates of all 52 atoms:
1 O 0.562 0.353 0.683
2 O 0.423 0.528 0.718
3 O 0.280 0.485 0.427
4 O 0.720 0.515 0.573
5 O 0.577 0.472 0.282
6 O 0.328 0.130 0.782
7 O 0.172 0.130 0.282
8 O 0.475 0.846 0.930
9 O 0.330 0.988 0.397
10 O 0.923 0.472 0.782
11 O 0.938 0.353 0.183
12 O 0.773 0.993 0.383
13 O 0.062 0.647 0.817
14 O 0.170 0.988 0.897
15 O 0.446 0.151 0.580
16 O 0.554 0.849 0.420
17 O 0.829 0.494 0.368
18 O 0.220 0.485 0.927
19 O 0.077 0.528 0.218
20 O 0.227 0.007 0.617
21 O 0.975 0.154 0.570
22 O 0.329 0.506 0.132
23 O 0.828 0.870 0.718
24 O 0.780 0.515 0.073
25 O 0.899 0.889 0.447
26 O 0.670 0.012 0.603
27 O 0.727 0.993 0.883
28 O 0.399 0.111 0.053
29 O 0.438 0.647 0.317
30 O 0.525 0.154 0.070
31 O 0.672 0.870 0.218
32 O 0.601 0.889 0.947
33 O 0.671 0.494 0.868
34 O 0.273 0.007 0.117
35 O 0.830 0.012 0.103
36 O 0.025 0.846 0.430
37 O 0.171 0.506 0.632
38 O 0.101 0.111 0.553
39 O 0.946 0.849 0.920
40 O 0.054 0.151 0.080
41 U 0.851 0.223 0.249
42 U 0.351 0.777 0.251
43 U 0.447 0.191 0.803
44 U 0.242 0.264 0.754
45 U 0.649 0.223 0.749
46 U 0.258 0.264 0.254
47 U 0.947 0.809 0.697
48 U 0.742 0.736 0.746
49 U 0.553 0.809 0.197
50 U 0.053 0.191 0.303
51 U 0.149 0.777 0.751
52 U 0.758 0.736 0.246

Properties
**Calculated total energy**: -8.889 eV/atom
**Polymorph energy (0 for the lowest one)**: 1.96 eV/f.u.
**Space-group type**: No. 14
**Formation energy from the elements**: -3.01 eV per atom

(14)
Computed, not measured: PrZnBi2O6 after structural relaxation at the GGA-PBE level of DFT.

abc: 5.958 5.912 5.958
angles: 120.26 90.00 120.26
Fractional coordinates of all 10 atoms:
1 Pr 0.000 0.000 0.000
2 Bi 0.250 0.500 0.750
3 Bi 0.750 0.500 0.250
4 Zn 0.500 0.000 0.500
5 O 0.826 0.000 0.643
6 O 0.269 0.539 0.269
7 O 0.643 0.000 0.174
8 O 0.731 0.461 0.731
9 O 0.357 0.000 0.826
10 O 0.174 0.000 0.357

Properties
**Calculated total energy**: -5.669 eV/atom
**Polymorph energy (0 for the lowest one)**: 3.60 eV/f.u.
**Space-group type**: No. 87
**Formation energy from the elements**: -1.73 eV per atom